(1)
Below is U2Cu4As5 after structural relaxation, with properties calculated at the GGA-PBE level.

Results
- Magnetization: 0.336 μB per atom
- ΔE_f: -0.364 eV/atom

Cell: 3.992 3.992 24.305 Å, 90.00 90.00 90.00°
Space group I4/mmm (No. 139)
Unique sites:
U  0.000  0.000  0.158 [4 per cell]
Cu  0.000  0.500  0.058 [8 per cell]
As  0.000  0.000  0.000 [2 per cell]
As  0.000  0.000  0.376 [4 per cell]
As  0.000  0.500  0.250 [4 per cell]

---

(2)
Below is UCu2As2 after structural relaxation, with properties calculated at the GGA-PBE level.

Results
- Magnetization: 0.400 μB per atom
- ΔE_f: -0.369 eV/atom

Cell: 4.0598 4.0598 6.5616 Å, 90.00 90.00 120.00°
Space group P-3m1 (No. 164)
Unique sites:
U  0.0000  0.0000  0.0000 [1 per cell]
Cu  0.3333  0.6667  0.3641 [2 per cell]
As  0.3333  0.6667  0.7455 [2 per cell]

---

(3)
Below is YCuAs2 after structural relaxation, with properties calculated at the GGA-PBE level.

Results
- ΔE_f: -0.822 eV/atom

Cell: 3.908 3.908 9.931 Å, 90.00 90.00 90.00°
Space group P4/nmm (No. 129, origin choice 2)
Unique sites:
Y  0.250  0.250  0.238 [2 per cell]
Cu  0.250  0.750  0.500 [2 per cell]
As  0.250  0.250  0.660 [2 per cell]
As  0.250  0.750  0.000 [2 per cell]

---

(4)
Below is YZnCuAs2 after structural relaxation, with properties calculated at the GGA-PBE level.

Results
- Magnetization: 0.000 μB per atom
- ΔE_f: -0.671 eV/atom

Cell: 4.1182 4.1182 6.7360 Å, 90.00 90.00 120.00°
Space group P3m1 (No. 156)
Unique sites:
Y  0.0000  0.0000  0.0000 [1 per cell]
Zn  0.6667  0.3333  0.3939 [1 per cell]
Cu  0.3333  0.6667  0.6563 [1 per cell]
As  0.3333  0.6667  0.2680 [1 per cell]
As  0.6667  0.3333  0.7645 [1 per cell]

---

Question: What is the ΔE_f in the first record?
Answer: -0.364 eV/atom

---

Question: Which of these has the highest ΔE_f?
Answer: U2Cu4As5

---

Question: Which value of ΔE_f does entry 1 give?
Answer: -0.364 eV/atom

---

Question: ΔE_f of number 4 (YZnCuAs2)?
Answer: -0.671 eV/atom